[1]
Density functional theory data (GGA+U) for crystalline CrHO2 at its relaxed geometry.

Lattice parameters (Å, degrees): 9.970 3.048 4.509 90.00 90.00 90.00
Space group Pnma (No. 62)
Unique sites:
Cr  0.139  0.250  0.053 [4 per cell]
H  0.099  0.750  0.588 [4 per cell]
O  0.059  0.750  0.801 [4 per cell]
O  0.192  0.750  0.316 [4 per cell]

Values from the calculation:
ρ   4.1 Mg/m³
E (MP2020)   -123.42 eV/cell
ΔE_f   -1978 meV/atom

***

[2]
Density functional theory data (GGA+U) for crystalline MgMn8O13F3 at its relaxed geometry.

Lattice parameters (Å, degrees): 5.678 6.912 6.912 94.03 91.03 92.36
Space group P1 (No. 1)
Unique sites:
Mg  0.000  0.000  0.000 [1 per cell]
Mn  0.043  0.276  0.263 [1 per cell]
Mn  0.081  0.731  0.728 [1 per cell]
Mn  0.268  0.768  0.264 [1 per cell]
Mn  0.278  0.244  0.735 [1 per cell]
Mn  0.515  0.028  0.020 [1 per cell]
Mn  0.606  0.503  0.495 [1 per cell]
Mn  0.765  0.004  0.494 [1 per cell]
Mn  0.765  0.509  0.995 [1 per cell]
O  0.024  0.211  0.532 [1 per cell]
O  0.024  0.808  0.471 [1 per cell]
O  0.026  0.300  0.980 [1 per cell]
O  0.027  0.713  0.018 [1 per cell]
O  0.263  0.054  0.202 [1 per cell]
O  0.265  0.980  0.809 [1 per cell]
O  0.504  0.757  0.065 [1 per cell]
O  0.511  0.292  0.949 [1 per cell]
O  0.533  0.781  0.460 [1 per cell]
O  0.541  0.227  0.544 [1 per cell]
O  0.781  0.074  0.212 [1 per cell]
O  0.807  0.467  0.272 [1 per cell]
O  0.807  0.556  0.722 [1 per cell]
F  0.301  0.472  0.306 [1 per cell]
F  0.322  0.523  0.693 [1 per cell]
F  0.752  0.968  0.804 [1 per cell]

Values from the calculation:
ρ   4.5 Mg/m³
E (MP2020)   -195.65 eV/cell
ΔE_f   -2027 meV/atom
E above lowest polymorph   35 meV per atom

***

[3]
Density functional theory data (GGA+U) for crystalline Ca8TiMn7O20 at its relaxed geometry.

Lattice parameters (Å, degrees): 10.836 10.934 7.822 90.00 90.26 90.00
Space group Cm (No. 8)
Unique sites:
Ca  0.000  0.000  0.000 [2 per cell]
Ca  0.001  0.000  0.466 [2 per cell]
Ca  0.009  0.500  0.409 [2 per cell]
Ca  0.241  0.224  0.980 [4 per cell]
Ca  0.242  0.256  0.444 [4 per cell]
Ca  0.481  0.000  0.969 [2 per cell]
Ti  0.243  0.500  0.681 [2 per cell]
Mn  0.003  0.248  0.708 [4 per cell]
Mn  0.241  0.000  0.231 [2 per cell]
Mn  0.246  0.500  0.181 [2 per cell]
Mn  0.249  0.000  0.721 [2 per cell]
Mn  0.496  0.254  0.201 [4 per cell]
O  0.025  0.213  0.952 [4 per cell]
O  0.115  0.380  0.600 [4 per cell]
O  0.119  0.375  0.208 [4 per cell]
O  0.120  0.125  0.272 [4 per cell]
O  0.132  0.128  0.643 [4 per cell]
O  0.214  0.000  0.976 [2 per cell]
O  0.235  0.500  0.912 [2 per cell]
O  0.364  0.376  0.623 [4 per cell]
O  0.370  0.125  0.234 [4 per cell]
O  0.370  0.375  0.221 [4 per cell]
O  0.377  0.129  0.767 [4 per cell]

Values from the calculation:
ρ   3.8 Mg/m³
E (MP2020)   -565.62 eV/cell
ΔE_f   -2660 meV/atom
E above lowest polymorph   12 meV per atom

***

[4]
Density functional theory data (GGA+U) for crystalline Li9Mn2Co5O16 at its relaxed geometry.

Lattice parameters (Å, degrees): 5.929 6.432 8.612 82.92 70.74 66.01
Space group P1 (No. 1)
Unique sites:
Li  0.000  0.000  0.000 [1 per cell]
Li  0.000  0.239  0.259 [1 per cell]
Li  0.011  0.484  0.506 [1 per cell]
Li  0.254  0.240  0.749 [1 per cell]
Li  0.497  0.483  0.513 [1 per cell]
Li  0.502  0.235  0.262 [1 per cell]
Li  0.512  0.987  0.001 [1 per cell]
Li  0.515  0.737  0.748 [1 per cell]
Li  0.997  0.746  0.748 [1 per cell]
Mn  0.259  0.485  0.003 [1 per cell]
Mn  0.762  0.485  0.005 [1 per cell]
Co  0.248  0.995  0.505 [1 per cell]
Co  0.255  0.741  0.258 [1 per cell]
Co  0.740  0.998  0.506 [1 per cell]
Co  0.753  0.741  0.257 [1 per cell]
Co  0.755  0.237  0.754 [1 per cell]
O  0.092  0.016  0.740 [1 per cell]
O  0.101  0.269  0.007 [1 per cell]
O  0.140  0.754  0.494 [1 per cell]
O  0.144  0.503  0.245 [1 per cell]
O  0.367  0.977  0.265 [1 per cell]
O  0.369  0.222  0.505 [1 per cell]
O  0.400  0.715  0.015 [1 per cell]
O  0.410  0.467  0.767 [1 per cell]
O  0.642  0.006  0.743 [1 per cell]
O  0.643  0.501  0.244 [1 per cell]
O  0.644  0.751  0.493 [1 per cell]
O  0.652  0.243  0.995 [1 per cell]
O  0.853  0.234  0.519 [1 per cell]
O  0.860  0.479  0.769 [1 per cell]
O  0.864  0.732  0.014 [1 per cell]
O  0.869  0.975  0.266 [1 per cell]

Values from the calculation:
ρ   4.2 Mg/m³
E (MP2020)   -208.36 eV/cell
ΔE_f   -1817 meV/atom
E above lowest polymorph   47 meV per atom

***

[5]
Density functional theory data (GGA+U) for crystalline Ba3W2O9 at its relaxed geometry.

Lattice parameters (Å, degrees): 10.3177 10.3177 14.3314 90.00 90.00 120.00
Space group R-3c (No. 167, hexagonal axes)
Unique sites:
Ba  0.0000  0.3299  0.2500 [18 per cell]
W  0.0000  0.0000  0.1465 [12 per cell]
O  0.0000  0.1449  0.7500 [18 per cell]
O  0.0022  0.1631  0.4096 [36 per cell]

Values from the calculation:
ρ   7.0 Mg/m³
E (MP2020)   -692.83 eV/cell
ΔE_f   -2805 meV/atom

***

[6]
Density functional theory data (GGA+U) for crystalline ZnTcNiO4 at its relaxed geometry.

Lattice parameters (Å, degrees): 6.087 6.098 10.129 85.88 73.17 60.94
Space group P1 (No. 1)
Unique sites:
Zn  0.000  0.000  0.000 [1 per cell]
Zn  0.000  0.499  0.500 [1 per cell]
Zn  0.888  0.044  0.682 [1 per cell]
Zn  0.889  0.543  0.182 [1 per cell]
Tc  0.510  0.497  0.978 [1 per cell]
Tc  0.511  0.213  0.260 [1 per cell]
Tc  0.511  0.714  0.761 [1 per cell]
Tc  0.511  0.996  0.478 [1 per cell]
Ni  0.147  0.388  0.795 [1 per cell]
Ni  0.148  0.887  0.296 [1 per cell]
Ni  0.514  0.990  0.997 [1 per cell]
Ni  0.515  0.490  0.497 [1 per cell]
O  0.250  0.106  0.368 [1 per cell]
O  0.250  0.606  0.869 [1 per cell]
O  0.290  0.057  0.865 [1 per cell]
O  0.292  0.556  0.365 [1 per cell]
O  0.292  0.824  0.096 [1 per cell]
O  0.293  0.345  0.116 [1 per cell]
O  0.293  0.845  0.616 [1 per cell]
O  0.294  0.323  0.596 [1 per cell]
O  0.734  0.355  0.119 [1 per cell]
O  0.735  0.855  0.619 [1 per cell]
O  0.736  0.145  0.885 [1 per cell]
O  0.737  0.398  0.630 [1 per cell]
O  0.737  0.644  0.384 [1 per cell]
O  0.737  0.898  0.130 [1 per cell]
O  0.757  0.127  0.377 [1 per cell]
O  0.757  0.627  0.878 [1 per cell]

Values from the calculation:
ρ   6.1 Mg/m³
E (MP2020)   -193.79 eV/cell
ΔE_f   -1608 meV/atom

***

[7]
Density functional theory data (GGA+U) for crystalline NaCo3O6 at its relaxed geometry.

Lattice parameters (Å, degrees): 5.0132 5.0132 13.8175 90.00 90.00 120.00
Space group R3 (No. 146, hexagonal axes)
Unique sites:
Na  0.0000  0.0000  0.0000 [3 per cell]
Co  0.0000  0.0000  0.2156 [3 per cell]
Co  0.0000  0.0000  0.5350 [3 per cell]
Co  0.0000  0.0000  0.7357 [3 per cell]
O  0.0152  0.3395  0.8014 [9 per cell]
O  0.0830  0.7403  0.2861 [9 per cell]

Values from the calculation:
ρ   4.9 Mg/m³
E (MP2020)   -191.17 eV/cell
ΔE_f   -1139 meV/atom
E above lowest polymorph   235 meV per atom

***

[8]
Density functional theory data (GGA+U) for crystalline Cr3Fe2O12 at its relaxed geometry.

Lattice parameters (Å, degrees): 8.768 9.152 15.113 90.00 124.84 90.00
Space group P2_1/c (No. 14)
Unique sites:
Cr  0.029  0.113  0.142 [4 per cell]
Cr  0.258  0.622  0.149 [4 per cell]
Cr  0.454  0.247  0.491 [4 per cell]
Fe  0.128  0.532  0.880 [4 per cell]
Fe  0.368  0.526  0.616 [4 per cell]
O  0.014  0.219  0.680 [4 per cell]
O  0.115  0.000  0.247 [4 per cell]
O  0.115  0.572  0.183 [4 per cell]
O  0.160  0.576  0.021 [4 per cell]
O  0.167  0.109  0.100 [4 per cell]
O  0.185  0.561  0.456 [4 per cell]
O  0.250  0.165  0.436 [4 per cell]
O  0.287  0.697  0.661 [4 per cell]
O  0.377  0.624  0.946 [4 per cell]
O  0.460  0.534  0.228 [4 per cell]
O  0.462  0.170  0.896 [4 per cell]
O  0.483  0.133  0.083 [4 per cell]

Values from the calculation:
ρ   3.1 Mg/m³
E (MP2020)   -532.50 eV/cell
ΔE_f   -1638 meV/atom
E above lowest polymorph   0 meV per atom

***

[9]
Density functional theory data (GGA+U) for crystalline Li4TiFe4Co4O18 at its relaxed geometry.

Lattice parameters (Å, degrees): 2.894 8.817 25.051 90.00 90.00 90.00
Space group Pmc2_1 (No. 26)
Unique sites:
Li  0.000  0.046  0.000 [2 per cell]
Li  0.000  0.057  0.768 [2 per cell]
Li  0.000  0.425  0.969 [2 per cell]
Li  0.000  0.451  0.176 [2 per cell]
Ti  0.000  0.253  0.869 [2 per cell]
Fe  0.000  0.234  0.667 [2 per cell]
Fe  0.000  0.270  0.274 [2 per cell]
Fe  0.500  0.107  0.384 [2 per cell]
Fe  0.500  0.399  0.561 [2 per cell]
Co  0.000  0.252  0.473 [2 per cell]
Co  0.000  0.254  0.079 [2 per cell]
Co  0.500  0.106  0.163 [2 per cell]
Co  0.500  0.399  0.778 [2 per cell]
O  0.000  0.047  0.884 [2 per cell]
O  0.000  0.068  0.115 [2 per cell]
O  0.000  0.153  0.208 [2 per cell]
O  0.000  0.250  0.547 [2 per cell]
O  0.000  0.254  0.400 [2 per cell]
O  0.000  0.344  0.734 [2 per cell]
O  0.000  0.449  0.055 [2 per cell]
O  0.000  0.449  0.824 [2 per cell]
O  0.500  0.092  0.688 [2 per cell]
O  0.500  0.106  0.468 [2 per cell]
O  0.500  0.149  0.306 [2 per cell]
O  0.500  0.198  0.034 [2 per cell]
O  0.500  0.208  0.811 [2 per cell]
O  0.500  0.296  0.129 [2 per cell]
O  0.500  0.314  0.913 [2 per cell]
O  0.500  0.366  0.638 [2 per cell]
O  0.500  0.394  0.478 [2 per cell]
O  0.500  0.408  0.247 [2 per cell]

Values from the calculation:
ρ   4.3 Mg/m³
E (MP2020)   -440.15 eV/cell
ΔE_f   -1715 meV/atom

***

[10]
Density functional theory data (GGA+U) for crystalline Er2WO6 at its relaxed geometry.

Lattice parameters (Å, degrees): 7.663 5.359 11.403 90.00 104.66 90.00
Space group P2/c (No. 13)
Unique sites:
Er  0.000  0.184  0.250 [2 per cell]
Er  0.294  0.316  0.922 [4 per cell]
Er  0.500  0.240  0.250 [2 per cell]
W  0.223  0.244  0.615 [4 per cell]
O  0.011  0.138  0.885 [4 per cell]
O  0.134  0.349  0.451 [4 per cell]
O  0.210  0.479  0.229 [4 per cell]
O  0.292  0.041  0.774 [4 per cell]
O  0.347  0.036  0.069 [4 per cell]
O  0.440  0.456  0.605 [4 per cell]

Values from the calculation:
ρ   9.0 Mg/m³
E (MP2020)   -326.99 eV/cell
ΔE_f   -3330 meV/atom
E above lowest polymorph   0 meV per atom